(a)
VASP calculation (GGA-PBE) on a relaxed structure of AlTlSiO4.

The structure in POSCAR format:
```
AlTlSiO4
1.0
5.580 0.000 0.000
0.000 7.368 0.000
0.000 0.000 9.128
Al Tl Si O
4 4 4 16
direct
0.250 0.999 0.568
0.250 0.501 0.068
0.750 0.499 0.932
0.750 0.001 0.432
0.250 0.626 0.748
0.750 0.126 0.752
0.750 0.374 0.252
0.250 0.874 0.248
0.750 0.813 0.087
0.750 0.687 0.587
0.250 0.313 0.413
0.250 0.187 0.913
0.031 0.148 0.442
0.250 0.108 0.744
0.750 0.608 0.756
0.750 0.541 0.463
0.250 0.041 0.037
0.969 0.648 0.058
0.469 0.352 0.942
0.469 0.148 0.442
0.250 0.392 0.244
0.750 0.959 0.963
0.250 0.459 0.537
0.531 0.648 0.058
0.531 0.852 0.558
0.031 0.352 0.942
0.750 0.892 0.256
0.969 0.852 0.558
```

Properties
magnetic moment = 0.0 μB per formula unit

***

(b)
VASP calculation (GGA-PBE) on a relaxed structure of AlTlSiO4.

The structure in POSCAR format:
```
AlTlSiO4
1.0
-3.965 0.973 -3.631
-2.496 -7.948 0.596
-5.951 2.404 7.143
Al Tl Si O
4 4 4 16
direct
0.750 0.693 0.584
0.250 0.307 0.416
0.250 0.807 0.084
0.750 0.193 0.916
0.750 0.498 0.183
0.250 0.502 0.817
0.250 0.002 0.683
0.750 0.998 0.317
0.750 0.796 0.923
0.250 0.204 0.077
0.250 0.704 0.423
0.750 0.296 0.577
0.750 0.487 0.563
0.250 0.513 0.437
0.250 0.013 0.063
0.750 0.987 0.937
0.750 0.741 0.760
0.250 0.259 0.240
0.250 0.759 0.260
0.750 0.241 0.740
0.009 0.783 0.503
0.509 0.217 0.497
0.509 0.717 0.003
0.009 0.283 0.997
0.491 0.783 0.503
0.991 0.217 0.497
0.991 0.717 0.003
0.491 0.283 0.997
```

Properties
magnetic moment = 0.0 μB per formula unit

***

(c)
VASP calculation (GGA-PBE) on a relaxed structure of AlTlSiO4.

The structure in POSCAR format:
```
AlTlSiO4
1.0
5.254 0.168 0.000
0.152 7.443 0.000
0.000 0.000 13.063
Al Tl Si O
4 4 4 16
direct
0.251 0.979 0.463
0.249 0.521 0.963
0.751 0.479 0.037
0.749 0.021 0.537
0.230 0.513 0.757
0.730 0.013 0.743
0.770 0.487 0.243
0.270 0.987 0.257
0.742 0.768 0.913
0.758 0.732 0.413
0.242 0.268 0.587
0.258 0.232 0.087
0.019 0.158 0.519
0.261 0.188 0.703
0.761 0.688 0.797
0.777 0.516 0.410
0.277 0.016 0.090
0.969 0.663 0.990
0.481 0.342 0.019
0.469 0.163 0.510
0.239 0.312 0.203
0.723 0.984 0.910
0.223 0.484 0.590
0.519 0.658 0.981
0.531 0.837 0.490
0.031 0.337 0.010
0.739 0.812 0.297
0.981 0.842 0.481
```

Properties
magnetic moment = 0.0 μB per formula unit

***

What should be chosen as the most stable of them? Choose (b).

***

(a)
VASP calculation (GGA-PBE) on a relaxed structure of Ti2AlO4.

The structure in POSCAR format:
```
Ti2AlO4
1.0
-0.766 -5.518 1.662
-4.518 1.732 3.224
0.240 1.019 -5.719
Ti Al O
4 2 8
direct
0.000 0.500 0.500
0.000 0.000 0.500
0.500 0.500 0.000
0.000 0.500 0.000
0.500 0.000 0.000
0.500 0.500 0.500
0.734 0.248 0.014
0.284 0.753 0.531
0.734 0.721 0.486
0.279 0.247 0.031
0.266 0.279 0.514
0.716 0.247 0.469
0.721 0.753 0.969
0.266 0.752 0.986
```

Properties
magnetic moment = 0.1 μB per formula unit

***

(b)
VASP calculation (GGA-PBE) on a relaxed structure of Ti2AlO4.

The structure in POSCAR format:
```
Ti2AlO4
1.0
-2.718 2.718 5.214
2.718 -2.718 5.214
2.718 2.718 -5.214
Ti Al O
4 2 8
direct
0.875 0.125 0.750
0.375 0.125 0.250
0.875 0.625 0.750
0.875 0.125 0.250
0.250 0.750 0.500
0.500 0.500 0.000
0.500 0.912 0.967
0.945 0.533 0.033
0.250 0.338 0.533
0.805 0.717 0.467
0.662 0.195 0.913
0.283 0.750 0.087
0.467 0.500 0.413
0.088 0.055 0.587
```

Properties
magnetic moment = 0.0 μB per formula unit

***

(c)
VASP calculation (GGA-PBE) on a relaxed structure of Ti2AlO4.

The structure in POSCAR format:
```
Ti2AlO4
1.0
0.000 4.183 4.183
4.183 0.000 4.183
4.183 4.183 0.000
Ti Al O
4 2 8
direct
0.625 0.625 0.625
0.625 0.125 0.625
0.125 0.625 0.625
0.625 0.625 0.125
0.000 0.000 0.000
0.250 0.250 0.250
0.369 0.877 0.877
0.373 0.373 0.881
0.373 0.373 0.373
0.373 0.881 0.373
0.877 0.877 0.369
0.881 0.373 0.373
0.877 0.877 0.877
0.877 0.369 0.877
```

Properties
magnetic moment = 0.0 μB per formula unit

***

What should be chosen as the most stable of them? Choose (c).